# 1
A geometry-optimized Ca2FeIrO6 structure, computed with PBE+U.

Geometry as POSCAR:
```
Ca2FeIrO6
1.0
9.458 0.000 0.000
0.000 5.586 0.000
-3.246 0.000 8.892
Ca Fe Ir O
8 4 4 24
direct
0.118 0.054 0.369
0.118 0.446 0.869
0.382 0.556 0.631
0.382 0.944 0.131
0.618 0.056 0.869
0.618 0.444 0.369
0.882 0.554 0.131
0.882 0.946 0.631
0.000 0.000 0.000
0.000 0.500 0.500
0.500 0.000 0.500
0.500 0.500 0.000
0.250 0.000 0.751
0.250 0.500 0.251
0.750 0.000 0.249
0.750 0.500 0.749
0.080 0.203 0.625
0.080 0.297 0.125
0.127 0.709 0.674
0.127 0.791 0.174
0.171 0.025 0.919
0.171 0.475 0.419
0.328 0.528 0.079
0.328 0.972 0.579
0.373 0.205 0.324
0.373 0.295 0.824
0.423 0.700 0.375
0.423 0.800 0.875
0.577 0.200 0.125
0.577 0.300 0.625
0.627 0.705 0.176
0.627 0.795 0.676
0.672 0.028 0.421
0.672 0.472 0.921
0.829 0.525 0.581
0.829 0.975 0.081
0.873 0.209 0.826
0.873 0.291 0.326
0.920 0.703 0.875
0.920 0.797 0.375
```

Computed properties:
SG	No. 14
crystal system	monoclinic



# 2
A geometry-optimized KCaSmFeO6 structure, computed with PBE+U.

Geometry as POSCAR:
```
KCaSmFeO6
1.0
0.000 4.118 4.118
4.118 0.000 4.118
4.118 4.118 0.000
K Ca Sm Fe O
1 1 1 1 6
direct
0.000 0.000 0.000
0.500 0.500 0.500
0.750 0.750 0.750
0.250 0.250 0.250
0.024 0.024 0.476
0.024 0.476 0.024
0.024 0.476 0.476
0.476 0.024 0.024
0.476 0.024 0.476
0.476 0.476 0.024
```

Computed properties:
SG	No. 216
crystal system	cubic



Number 1: volume 11.7 Å³ per atom, raw total energy -268.2 eV/cell. Number 2: volume 14.0 Å³ per atom, raw total energy -61.3 eV/cell.